# 1
# PBE Ho3Ni2, relaxed
data_Ho3Ni2
_cell_length_a 8.4709
_cell_length_b 8.4709
_cell_length_c 15.6510
_cell_angle_alpha 90.00
_cell_angle_beta 90.00
_cell_angle_gamma 120.00
_symmetry_space_group_name_H-M 'R -3'
_symmetry_Int_Tables_number 148
_symmetry_space_group_name_Hall '-R 3'
loop_
_atom_site_label
_atom_site_type_symbol
_atom_site_fract_x
_atom_site_fract_y
_atom_site_fract_z
Ho1 Ho 0.0000 0.0000 0.0000
Ho2 Ho 0.0000 0.0000 0.2074
Ho3 Ho 0.0195 0.2557 0.5927
Ni1 Ni 0.0236 0.6035 0.5628
# DFT formation energy = -365 meV/atom
# relative energy among the computed polymorphs = 13.1 meV/atom

---

# 2
# PBE Ho3Ni2, relaxed
data_Ho3Ni2
_cell_length_a 13.113
_cell_length_b 3.689
_cell_length_c 9.387
_cell_angle_alpha 90.00
_cell_angle_beta 105.76
_cell_angle_gamma 90.00
_symmetry_space_group_name_H-M 'C 1 2/m 1'
_symmetry_Int_Tables_number 12
_symmetry_space_group_name_Hall '-C 2y'
loop_
_atom_site_label
_atom_site_type_symbol
_atom_site_fract_x
_atom_site_fract_y
_atom_site_fract_z
Ho1 Ho 0.097 0.000 0.173
Ho2 Ho 0.132 0.500 0.497
Ho3 Ho 0.144 0.500 0.868
Ni1 Ni 0.036 0.000 0.644
Ni2 Ni 0.243 0.000 0.727
# DFT formation energy = -378 meV/atom
# relative energy among the computed polymorphs = 0.0 meV/atom

---

# 3
# PBE Ho2Ni12P7, relaxed
data_Ho2Ni12P7
_cell_length_a 9.0220
_cell_length_b 9.0220
_cell_length_c 3.6777
_cell_angle_alpha 90.00
_cell_angle_beta 90.00
_cell_angle_gamma 120.00
_symmetry_space_group_name_H-M 'P -6'
_symmetry_Int_Tables_number 174
_symmetry_space_group_name_Hall 'P -6'
loop_
_atom_site_label
_atom_site_type_symbol
_atom_site_fract_x
_atom_site_fract_y
_atom_site_fract_z
Ho1 Ho 0.0000 0.0000 0.0000
Ho2 Ho 0.3333 0.6667 0.5000
Ni1 Ni 0.0396 0.7674 0.5000
Ni2 Ni 0.0974 0.3825 0.0000
Ni3 Ni 0.4517 0.2399 0.0000
Ni4 Ni 0.5145 0.0586 0.5000
P1 P 0.0721 0.6280 0.0000
P2 P 0.2591 0.0389 0.5000
P3 P 0.6667 0.3333 0.5000
# DFT formation energy = -773 meV/atom

---

# 4
# PBE HoNi4P2, relaxed
data_HoNi4P2
_cell_length_a 7.044
_cell_length_b 7.044
_cell_length_c 3.594
_cell_angle_alpha 90.00
_cell_angle_beta 90.00
_cell_angle_gamma 90.00
_symmetry_space_group_name_H-M 'P 42/m n m'
_symmetry_Int_Tables_number 136
_symmetry_space_group_name_Hall '-P 4n 2n'
loop_
_atom_site_label
_atom_site_type_symbol
_atom_site_fract_x
_atom_site_fract_y
_atom_site_fract_z
Ho1 Ho 0.000 0.000 0.000
Ni1 Ni 0.086 0.337 0.500
P1 P 0.220 0.780 0.500
# DFT formation energy = -833 meV/atom